Entry from the Materials Project database: an optimized crystal structure of K6Nb11O30 (GGA-PBE).

Values from the calculation:
Excess energy over the best structure of this formula in the dataset: 0.000 eV/f.u.
Symmetry: Pmn2_1
Final energy: -8.142 eV per atom
Formation enthalpy at 0 K: -2916 meV per atom

```
K6Nb11O30
1.0
8.0497 0.0000 0.0000
0.0000 12.8500 0.0000
0.0000 0.0000 12.8843
O Nb K
60 22 12
Cartesian
2.0007 9.1629 12.4071
0.0000 6.3641 9.6303
4.0248 11.7499 6.8232
6.0180 7.3268 5.0921
4.0248 7.4095 0.5568
2.0141 11.9683 11.4710
2.0096 1.8497 10.5181
0.0000 2.8230 8.5123
1.6192 6.2905 7.7144
6.0413 12.7896 1.2230
6.4097 4.4591 9.5160
2.0108 5.5433 1.4133
4.0248 9.2480 4.3719
6.0345 8.2747 2.3661
6.0401 1.8497 10.5181
2.0064 1.9949 3.2984
0.0000 3.7488 2.2357
6.0333 6.3646 11.6613
2.0084 12.7896 1.2230
6.0490 9.1629 12.4071
4.0248 2.7539 8.6849
2.0317 7.3268 5.0921
1.9941 4.6237 4.1414
6.0433 1.9949 3.2984
2.3848 10.8841 3.3683
1.6400 4.4591 9.5160
6.0389 5.5433 1.4133
2.0152 8.2747 2.3661
6.0312 8.4199 9.5859
6.0255 2.7379 0.4772
0.0000 9.1789 4.1994
2.0184 8.4199 9.5859
6.0356 11.9683 11.4710
0.0000 11.8904 6.8687
4.0248 0.9938 12.3076
6.4305 6.2905 7.7144
0.0000 12.7312 3.3463
4.0248 10.1738 10.6486
4.0248 5.4654 6.0156
0.0000 5.3249 6.0610
2.4056 12.7155 5.1699
6.0566 0.9018 7.7922
0.0000 10.1955 10.6231
6.0556 4.6237 4.1414
2.0307 11.0487 8.7429
2.1411 10.1722 5.9215
2.0241 2.7379 0.4772
4.0248 6.3062 9.5380
5.9086 10.1722 5.9215
2.0164 6.3646 11.6613
6.1660 3.7472 6.9627
1.8837 3.7472 6.9627
4.0248 3.7705 2.2612
0.0000 7.4188 0.5767
0.0000 0.9845 12.3275
5.6648 10.8841 3.3683
4.0248 12.7891 3.2540
5.6441 12.7155 5.1699
1.9931 0.9018 7.7922
6.0189 11.0487 8.7429
2.0128 0.9838 12.3572
6.1022 9.0533 4.1779
1.9419 11.8410 7.0315
2.0829 5.4160 5.8528
2.0773 2.6283 8.7064
2.0135 10.1672 10.7420
2.0120 7.4088 0.5271
1.9475 9.0533 4.1779
5.9724 2.6283 8.7064
0.0000 4.9135 8.1327
4.0248 11.3385 4.7516
5.9586 6.5466 9.7570
1.9337 0.1217 3.1272
6.0377 7.4088 0.5271
6.1078 11.8410 7.0315
6.0368 0.9838 12.3572
2.0114 3.7422 2.1423
5.9668 5.4160 5.8528
6.1160 0.1217 3.1272
6.0362 10.1672 10.7420
6.0383 3.7422 2.1423
2.0911 6.5466 9.7570
4.0248 6.4131 3.1493
0.0000 8.6612 7.5212
0.0000 2.2512 5.3963
4.0248 2.2362 5.3630
0.0000 12.8381 9.7350
4.0248 10.6624 0.9468
0.0000 6.3643 3.1732
0.0000 4.2374 11.9375
4.0248 8.6761 7.4879
4.0248 4.1999 11.9664
0.0000 10.6249 0.9179
4.0248 12.7893 9.7111
```

---

Entry from the Materials Project database: an optimized crystal structure of K3Nb8O21 (GGA-PBE).

Values from the calculation:
Symmetry: P6_3/mcm
Final energy: -8.386 eV per atom
Formation enthalpy at 0 K: -2960 meV per atom

```
K3Nb8O21
1.0
4.6633 -8.0770 0.0000
4.6633 8.0770 0.0000
0.0000 0.0000 12.2390
Nb O K
16 42 6
Cartesian
1.1589 2.0073 11.0837
2.3179 0.0000 4.9642
2.3179 0.0000 1.1553
3.5043 -6.0697 4.9642
1.1589 -2.0073 11.0837
4.6633 -2.6923 0.0000
3.5043 6.0697 1.1553
3.5043 6.0697 4.9642
3.5043 -6.0697 1.1553
7.0086 0.0000 7.2748
4.6633 2.6923 0.0000
4.6633 -2.6923 6.1195
4.6633 2.6923 6.1195
1.1589 2.0073 7.2748
7.0086 0.0000 11.0837
1.1589 -2.0073 7.2748
3.7290 6.4589 11.3423
3.7026 6.4130 3.0598
0.9607 1.6640 9.1793
3.9846 4.1951 1.1591
3.7290 -6.4589 7.0162
3.7290 6.4589 7.0162
0.9342 -1.6181 0.8967
0.9607 -1.6640 9.1793
5.6254 1.3532 11.0799
1.8685 0.0000 7.0162
7.4580 0.0000 0.8967
3.7011 1.3532 4.9604
5.3419 4.1951 7.2786
0.9342 1.6181 0.8967
3.0224 -2.5287 7.2786
3.7290 -6.4589 11.3423
7.4580 0.0000 5.2228
5.3419 -4.1951 7.2786
3.0224 -2.5287 11.0799
0.9342 1.6181 5.2228
3.7011 1.3532 1.1591
6.3041 2.5287 1.1591
5.3419 -4.1951 11.0799
3.9846 4.1951 4.9604
3.0224 2.5287 7.2786
0.9342 -1.6181 5.2228
6.3041 2.5287 4.9604
1.9214 0.0000 3.0598
6.3041 -2.5287 1.1591
5.6254 -1.3532 11.0799
3.7011 -1.3532 4.9604
1.8685 0.0000 11.3423
5.6254 -1.3532 7.2786
3.7011 -1.3532 1.1591
5.6254 1.3532 7.2786
3.7026 -6.4130 3.0598
3.9846 -4.1951 4.9604
3.9846 -4.1951 1.1591
3.0224 2.5287 11.0799
6.3041 -2.5287 4.9604
7.4051 0.0000 9.1793
5.3419 4.1951 11.0799
2.7720 4.8013 9.1793
5.5441 0.0000 3.0598
2.7720 -4.8013 9.1793
1.8912 3.2757 3.0598
3.7824 0.0000 9.1793
1.8912 -3.2757 3.0598
```

---

Question: What is the formula in the first record?
Answer: K6Nb11O30

---

Question: Which value of formation enthalpy at 0 K does entry 2 give?
Answer: -2960 meV per atom

---

Question: What is the formula in the first record?
Answer: K6Nb11O30